Entry 1:
PBE with a Hubbard U LiFeWClO4, optimized geometry; energy above the most stable polymorph in this dataset = 0 meV per atom; total energy after the MP2020 corrections = -7.5598 eV/atom; formation energy from the elements = -187 kJ per mole of atoms
1.0
5.117 0.000 -0.150
0.000 7.028 0.001
-0.025 0.001 7.239
Li Fe W Cl O
2 2 2 2 8
Cartesian
5.092 0.002 7.088
-0.024 3.514 7.239
1.606 5.271 1.781
3.483 1.758 5.309
2.558 1.757 1.641
2.535 5.271 5.448
0.955 1.758 5.588
4.140 5.271 1.502
3.856 1.757 0.352
1.238 5.272 6.737
3.350 1.757 3.244
1.740 5.271 3.847
1.502 0.276 1.462
3.590 6.754 5.626
3.590 3.789 5.627
1.503 3.239 1.463


Entry 2:
PBE with a Hubbard U MgFe2Mo2Cl2O8, optimized geometry; energy above the most stable polymorph in this dataset = 96 meV per atom; total energy after the MP2020 corrections = -7.3586 eV/atom; formation energy from the elements = -173 kJ per mole of atoms
1.0
-0.876 6.519 2.649
-1.704 -2.691 6.050
5.591 0.068 1.611
Mg Fe Mo Cl O
1 2 2 2 8
Cartesian
2.083 5.346 4.895
2.295 2.952 7.757
0.618 0.913 2.511
3.999 -0.325 6.781
-0.901 4.214 3.548
3.011 0.949 3.204
-0.020 2.877 7.080
0.212 5.389 4.390
3.153 4.012 6.093
3.811 5.050 3.763
-0.007 2.775 3.158
2.960 1.106 7.126
-0.967 -1.071 6.713
3.113 -1.642 5.945
-0.230 0.092 4.103